{
  "formula": "KMnN2",
  "functional": "PBE-GGA",
  "state": "optimized geometry",
  "cell": [[5.656, 0.000, 0.000], [0.000, 11.337, 0.000], [0.000, 0.000, 15.565]],
  "species": ["K", "K", "K", "K", "K", "K", "K", "K", "K", "K", "K", "K", "K", "K", "K", "K", "Mn", "Mn", "Mn", "Mn", "Mn", "Mn", "Mn", "Mn", "Mn", "Mn", "Mn", "Mn", "Mn", "Mn", "Mn", "Mn", "N", "N", "N", "N", "N", "N", "N", "N", "N", "N", "N", "N", "N", "N", "N", "N", "N", "N", "N", "N", "N", "N", "N", "N", "N", "N", "N", "N", "N", "N", "N", "N"],
  "frac_coords": [[0.149, 0.248, 0.192], [0.149, 0.252, 0.692], [0.249, 0.000, 0.066], [0.249, 0.500, 0.566], [0.251, 0.000, 0.566], [0.251, 0.500, 0.066], [0.351, 0.748, 0.192], [0.351, 0.752, 0.692], [0.649, 0.248, 0.308], [0.649, 0.252, 0.808], [0.749, 0.000, 0.434], [0.749, 0.500, 0.934], [0.751, 0.000, 0.934], [0.751, 0.500, 0.434], [0.851, 0.748, 0.308], [0.851, 0.752, 0.808], [0.185, 0.247, 0.440], [0.185, 0.253, 0.940], [0.249, 0.503, 0.814], [0.249, 0.997, 0.314], [0.251, 0.003, 0.814], [0.251, 0.497, 0.314], [0.315, 0.747, 0.440], [0.315, 0.753, 0.940], [0.685, 0.247, 0.060], [0.685, 0.253, 0.560], [0.749, 0.503, 0.686], [0.749, 0.997, 0.186], [0.751, 0.003, 0.686], [0.751, 0.497, 0.186], [0.815, 0.747, 0.060], [0.815, 0.753, 0.560], [0.007, 0.000, 0.747], [0.007, 0.500, 0.247], [0.108, 0.747, 0.024], [0.108, 0.753, 0.524], [0.233, 0.131, 0.875], [0.233, 0.369, 0.375], [0.242, 0.119, 0.382], [0.242, 0.381, 0.882], [0.258, 0.619, 0.382], [0.258, 0.881, 0.882], [0.267, 0.631, 0.875], [0.267, 0.869, 0.375], [0.392, 0.247, 0.024], [0.392, 0.253, 0.524], [0.493, 0.000, 0.247], [0.493, 0.500, 0.747], [0.507, 0.000, 0.753], [0.507, 0.500, 0.253], [0.608, 0.747, 0.476], [0.608, 0.753, 0.976], [0.733, 0.131, 0.625], [0.733, 0.369, 0.125], [0.742, 0.119, 0.118], [0.742, 0.381, 0.618], [0.758, 0.619, 0.118], [0.758, 0.881, 0.618], [0.767, 0.631, 0.625], [0.767, 0.869, 0.125], [0.892, 0.247, 0.476], [0.892, 0.253, 0.976], [0.993, 0.000, 0.253], [0.993, 0.500, 0.753]],
  "volume_a3_per_cell": 998,
  "delta_e_f_ev_per_atom": -0.459
}



{
  "formula": "K2MnN4",
  "functional": "PBE-GGA",
  "state": "optimized geometry",
  "cell": [[7.724, 0.000, 0.000], [0.000, 6.269, 0.000], [-3.977, 0.000, 12.209]],
  "species": ["K", "K", "K", "K", "K", "K", "K", "K", "Mn", "Mn", "Mn", "Mn", "N", "N", "N", "N", "N", "N", "N", "N", "N", "N", "N", "N", "N", "N", "N", "N"],
  "frac_coords": [[0.047, 0.193, 0.361], [0.047, 0.307, 0.861], [0.427, 0.722, 0.104], [0.427, 0.778, 0.604], [0.573, 0.222, 0.396], [0.573, 0.278, 0.896], [0.953, 0.693, 0.139], [0.953, 0.807, 0.639], [0.204, 0.214, 0.141], [0.204, 0.286, 0.641], [0.796, 0.714, 0.359], [0.796, 0.786, 0.859], [0.017, 0.738, 0.434], [0.017, 0.762, 0.934], [0.238, 0.518, 0.709], [0.238, 0.982, 0.209], [0.254, 0.089, 0.734], [0.254, 0.411, 0.234], [0.335, 0.236, 0.058], [0.335, 0.264, 0.558], [0.665, 0.736, 0.442], [0.665, 0.764, 0.942], [0.746, 0.589, 0.766], [0.746, 0.911, 0.266], [0.762, 0.018, 0.791], [0.762, 0.482, 0.291], [0.983, 0.238, 0.066], [0.983, 0.262, 0.566]],
  "volume_a3_per_cell": 591,
  "delta_e_f_ev_per_atom": 0.253
}



{
  "formula": "KMnRu",
  "functional": "PBE-GGA",
  "state": "optimized geometry",
  "cell": [[0.000, 3.265, 3.265], [3.265, 0.000, 3.265], [3.265, 3.265, 0.000]],
  "species": ["K", "Mn", "Ru"],
  "frac_coords": [[0.000, 0.000, 0.000], [0.500, 0.500, 0.500], [0.250, 0.250, 0.250]],
  "volume_a3_per_cell": 70,
  "delta_e_f_ev_per_atom": 1.541
}



{
  "formula": "K6MnS4",
  "functional": "PBE-GGA",
  "state": "optimized geometry",
  "cell": [[9.910, 0.000, 0.000], [-4.955, 8.582, 0.000], [0.000, 0.000, 7.756]],
  "species": ["K", "K", "K", "K", "K", "K", "K", "K", "K", "K", "K", "K", "Mn", "Mn", "S", "S", "S", "S", "S", "S", "S", "S"],
  "frac_coords": [[0.060, 0.530, 0.000], [0.147, 0.293, 0.675], [0.147, 0.853, 0.675], [0.293, 0.147, 0.175], [0.470, 0.530, 0.000], [0.470, 0.940, 0.000], [0.530, 0.060, 0.500], [0.530, 0.470, 0.500], [0.707, 0.853, 0.675], [0.853, 0.147, 0.175], [0.853, 0.707, 0.175], [0.940, 0.470, 0.500], [0.333, 0.667, 0.386], [0.667, 0.333, 0.886], [0.197, 0.394, 0.287], [0.197, 0.803, 0.287], [0.333, 0.667, 0.703], [0.394, 0.197, 0.787], [0.606, 0.803, 0.287], [0.667, 0.333, 0.203], [0.803, 0.197, 0.787], [0.803, 0.606, 0.787]],
  "volume_a3_per_cell": 660,
  "delta_e_f_ev_per_atom": -1.223,
  "piezo_max_c_m2": 0.3
}